Record 1
# ErCd2

An optimized crystal structure of ErCd2 (r²SCAN, Materials Project).

Cell lengths 4.885, 4.885, 3.444 Å; angles 90.00, 90.00, 120.00 degrees
Atoms (fractional coordinates):
Er: 0.000 0.000 0.000
Cd: 0.667 0.333 0.500
Cd: 0.333 0.667 0.500

Summary:
* energy of formation: -1.04 eV per formula unit
* ρ: 9.1 g cm⁻³
* SG: P6/mmm (191)

=====

Record 2
# ErCd

An optimized crystal structure of ErCd (r²SCAN, Materials Project).

Cell lengths 3.686, 3.686, 3.686 Å; angles 90.00, 90.00, 90.00 degrees
Atoms (fractional coordinates):
Cd: 0.000 0.000 0.000
Er: 0.500 0.500 0.500

Summary:
* energy of formation: -0.74 eV per formula unit
* ρ: 9.3 g cm⁻³
* SG: Pm-3m (221)

=====

Record 3
# ErCdGa

An optimized crystal structure of ErCdGa (r²SCAN, Materials Project).

Cell lengths 7.146, 7.146, 4.356 Å; angles 90.00, 90.00, 120.00 degrees
Atoms (fractional coordinates):
Er: 0.000 0.575 0.500
Er: 0.575 0.000 0.500
Er: 0.425 0.425 0.500
Ga: 0.333 0.667 0.000
Ga: 0.667 0.333 0.000
Ga: 0.000 0.000 0.500
Cd: 0.000 0.250 0.000
Cd: 0.250 0.000 0.000
Cd: 0.750 0.750 0.000

Summary:
* energy of formation: -1.73 eV per formula unit
* ρ: 9.0 g cm⁻³
* SG: P-62m (189)

=====

Record 4
# HoErCd2

An optimized crystal structure of HoErCd2 (r²SCAN, Materials Project).

Cell lengths 5.223, 5.223, 5.223 Å; angles 60.00, 60.00, 60.00 degrees
Atoms (fractional coordinates):
Er: 0.250 0.250 0.250
Ho: 0.750 0.750 0.750
Cd: 0.000 0.000 0.000
Cd: 0.500 0.500 0.500

Summary:
* energy of formation: -1.51 eV per formula unit
* ρ: 9.2 g cm⁻³
* SG: Fm-3m (225)

=====

What is the energy of formation in the first record? -1.04 eV per formula unit

=====

Among the records above, which one has the highest energy of formation? ErCd

=====

Among the records above, which one has the lowest energy of formation? ErCdGa